1.
Entry from Materials Project: crystalline BaMn3P3O12 at its relaxed geometry (PBE with a Hubbard U).

Unit cell a=9.4672 b=9.4672 c=9.4672 alpha=112.47 beta=82.91 gamma=137.84
Element x y z (fractional)
Ba (0.3655, 0.1155, 0.2500)
Ba (0.6345, 0.8845, 0.7500)
Mn (0.0000, 0.5000, 0.5000)
Mn (0.1182, 0.0000, 0.6182)
Mn (0.1182, 0.5000, 0.1182)
Mn (0.5000, 0.5000, 0.0000)
Mn (0.8818, 0.0000, 0.3818)
Mn (0.8818, 0.5000, 0.8818)
P (0.1471, 0.3971, 0.7500)
P (0.3211, 0.0000, 0.8211)
P (0.3211, 0.5000, 0.3211)
P (0.6789, 0.0000, 0.1789)
P (0.6789, 0.5000, 0.6789)
P (0.8529, 0.6029, 0.2500)
O (0.0061, 0.1377, 0.6316)
O (0.0061, 0.3744, 0.8684)
O (0.1835, 0.5231, 0.6603)
O (0.1994, 0.5621, 0.3600)
O (0.1994, 0.8393, 0.6373)
O (0.2026, 0.2830, 0.3410)
O (0.2026, 0.8616, 0.9196)
O (0.2979, 0.1607, 0.8600)
O (0.2979, 0.4379, 0.1373)
O (0.3628, 0.5231, 0.8397)
O (0.4420, 0.2830, 0.5804)
O (0.4420, 0.8616, 0.1590)
O (0.5580, 0.1384, 0.8410)
O (0.5580, 0.7170, 0.4196)
O (0.6372, 0.4769, 0.1603)
O (0.7021, 0.5621, 0.8627)
O (0.7021, 0.8393, 0.1400)
O (0.7974, 0.1384, 0.0804)
O (0.7974, 0.7170, 0.6590)
O (0.8006, 0.1607, 0.3627)
O (0.8006, 0.4379, 0.6400)
O (0.8165, 0.4769, 0.3397)
O (0.9939, 0.6256, 0.1316)
O (0.9939, 0.8623, 0.3684)

Properties
Calculated total energy, eV/cell: -286.91
SG: Imma, No. 74

2.
Entry from Materials Project: crystalline LiFeP2HO7 at its relaxed geometry (PBE with a Hubbard U).

Unit cell a=6.5717 b=8.7454 c=9.9468 alpha=89.58 beta=71.26 gamma=78.00
Element x y z (fractional)
Li (0.1769, 0.0089, 0.3785)
Li (0.2185, 0.5312, 0.8731)
Li (0.7815, 0.4688, 0.1269)
Li (0.8231, 0.9911, 0.6215)
Fe (0.1082, 0.4728, 0.2745)
Fe (0.3354, 0.9144, 0.8105)
Fe (0.6646, 0.0856, 0.1895)
Fe (0.8918, 0.5272, 0.7255)
P (0.2406, 0.7318, 0.5735)
P (0.2674, 0.2062, 0.0546)
P (0.2887, 0.7461, 0.1388)
P (0.3268, 0.2423, 0.6275)
P (0.6732, 0.7577, 0.3725)
P (0.7113, 0.2539, 0.8612)
P (0.7326, 0.7938, 0.9454)
P (0.7594, 0.2682, 0.4265)
H (0.0562, 0.8078, 0.0141)
H (0.1001, 0.2855, 0.4963)
H (0.8999, 0.7145, 0.5037)
H (0.9438, 0.1922, 0.9859)
O (0.0968, 0.6143, 0.5594)
O (0.1293, 0.3759, 0.0750)
O (0.1292, 0.8624, 0.2501)
O (0.1395, 0.8951, 0.5496)
O (0.1571, 0.0915, 0.0007)
O (0.1649, 0.3642, 0.7419)
O (0.2132, 0.7403, 0.9998)
O (0.2399, 0.2146, 0.5009)
O (0.2911, 0.7178, 0.7151)
O (0.3378, 0.1650, 0.1858)
O (0.3557, 0.5775, 0.1795)
O (0.4135, 0.0861, 0.6774)
O (0.4706, 0.6729, 0.4438)
O (0.4875, 0.1948, 0.9213)
O (0.5125, 0.8052, 0.0787)
O (0.5294, 0.3271, 0.5562)
O (0.5865, 0.9139, 0.3226)
O (0.6443, 0.4225, 0.8205)
O (0.6622, 0.8350, 0.8142)
O (0.7089, 0.2822, 0.2849)
O (0.7601, 0.7854, 0.4991)
O (0.7868, 0.2597, 0.0002)
O (0.8351, 0.6358, 0.2581)
O (0.8429, 0.9085, 0.9993)
O (0.8605, 0.1049, 0.4504)
O (0.8708, 0.1376, 0.7499)
O (0.8707, 0.6241, 0.9250)
O (0.9032, 0.3857, 0.4406)

Properties
SG: P-1, No. 2
Energy relative to the lowest polymorph listed for this composition, eV/atom: 0.0417

3.
Entry from Materials Project: crystalline LiMnP2HO7 at its relaxed geometry (PBE with a Hubbard U).

Unit cell a=6.4522 b=8.7304 c=9.9422 alpha=91.52 beta=107.86 gamma=102.10
Element x y z (fractional)
Li (0.1858, 0.4934, 0.1159)
Li (0.2247, 0.9798, 0.6255)
Li (0.7753, 0.0202, 0.3745)
Li (0.8142, 0.5066, 0.8841)
Mn (0.1415, 0.0315, 0.2153)
Mn (0.2927, 0.5771, 0.6908)
Mn (0.7073, 0.4229, 0.3092)
Mn (0.8585, 0.9685, 0.7847)
P (0.2463, 0.7765, 0.9346)
P (0.2596, 0.2885, 0.4382)
P (0.3048, 0.7530, 0.3655)
P (0.3170, 0.2569, 0.8726)
P (0.6830, 0.7431, 0.1274)
P (0.6952, 0.2470, 0.6345)
P (0.7404, 0.7115, 0.5618)
P (0.7537, 0.2235, 0.0654)
H (0.0662, 0.7062, 0.4883)
H (0.0912, 0.2199, 0.0035)
H (0.9088, 0.7801, 0.9965)
H (0.9338, 0.2938, 0.5117)
O (0.1070, 0.8921, 0.9664)
O (0.1344, 0.4039, 0.4834)
O (0.1342, 0.6365, 0.2532)
O (0.1350, 0.1161, 0.4295)
O (0.1434, 0.1319, 0.7623)
O (0.1443, 0.6078, 0.9467)
O (0.2246, 0.7731, 0.5020)
O (0.2354, 0.2945, 0.0014)
O (0.2876, 0.7965, 0.7909)
O (0.3273, 0.3145, 0.3035)
O (0.3943, 0.9166, 0.3268)
O (0.4096, 0.4091, 0.8204)
O (0.4838, 0.8316, 0.0605)
O (0.4863, 0.3255, 0.5712)
O (0.5137, 0.6745, 0.4288)
O (0.5162, 0.1684, 0.9395)
O (0.5904, 0.5909, 0.1796)
O (0.6057, 0.0834, 0.6732)
O (0.6727, 0.6855, 0.6965)
O (0.7124, 0.2035, 0.2091)
O (0.7646, 0.7055, 0.9986)
O (0.7754, 0.2269, 0.4980)
O (0.8557, 0.3922, 0.0533)
O (0.8566, 0.8681, 0.2377)
O (0.8650, 0.8839, 0.5705)
O (0.8658, 0.3635, 0.7468)
O (0.8656, 0.5961, 0.5166)
O (0.8930, 0.1079, 0.0336)

Properties
SG: P-1, No. 2
Energy relative to the lowest polymorph listed for this composition, eV/atom: 0.0402